# GGA+U KCeMgWO6, relaxed
# total magnetization = 4.0 μB per cell
# energy relative to the elements = -265.24 kJ per mole of atoms
data_KCeMgWO6
_chemical_formula_sum 'K4 Ce4 Mg4 W4 O24'
_symmetry_space_group_name_H-M 'F -4 3 m'
_symmetry_Int_Tables_number 216
_symmetry_space_group_name_Hall 'F -4 2 3'
_cell_length_a 7.984
_cell_length_b 7.984
_cell_length_c 7.984
_cell_angle_alpha 90.00
_cell_angle_beta 90.00
_cell_angle_gamma 90.00
loop_
_atom_site_label
_atom_site_fract_x
_atom_site_fract_y
_atom_site_fract_z
K1 0.000 0.000 0.000
Ce1 0.000 0.000 0.500
Mg1 0.250 0.250 0.250
W1 0.250 0.250 0.750
O1 0.007 0.250 0.750